Entry from Materials Project: Mn3Nb2Cr3O16 after structural relaxation (PBE+U).

Output
The calculation puts the total magnetization at 17.0 μB/cell. For the raw total energy, the calculation gives -7.8153 eV/atom. As for the volume: 276 Å³ per cell. The value obtained for the corrected total energy (MP2020 scheme) is -0.642 Ry/atom. For the polymorph energy (0 for the lowest one), the calculation gives 10 meV/atom. Its formation enthalpy at 0 K is -2239 meV/atom.

abc: 5.8587 5.8587 9.3111
angles: 89.60 89.60 59.87
Closest atoms and distances in Å follow each position.
Sites, in units of the cell vectors:
O  0.8341  0.8341  0.6012  1 Nb 1.97, 2 Mn 2.00
O  0.3370  0.3370  0.6091  2 Mn 1.92, 1 Cr 1.97
O  0.0420  0.4850  0.8326  1 Mn 1.89, 1 Cr 1.96
Nb  0.3315  0.3315  0.9985  5 O 1.91-2.14
Cr  0.3399  0.8280  0.2171  6 O 1.89-2.03
O  0.4806  0.4806  0.8297  2 Mn 1.92
O  0.3314  0.8327  0.6001  1 Nb 1.94, 1 Mn 2.00, 1 Cr 2.01
Mn  0.8296  0.8296  0.2126  6 O 1.90-1.99
Cr  0.8280  0.3399  0.2171  6 O 1.89-2.03
O  0.1664  0.1664  0.0989  1 Nb 1.91, 2 Cr 2.03
Nb  0.6655  0.6655  0.4985  6 O 1.94-2.14
O  0.4850  0.0420  0.8326  1 Mn 1.89, 1 Cr 1.96
O  0.6688  0.6688  0.1076  1 Mn 1.91, 2 Cr 1.95
O  0.8327  0.3314  0.6001  1 Nb 1.94, 1 Mn 2.00, 1 Cr 2.01
Cr  0.1683  0.1683  0.7149  6 O 1.95-2.01
O  0.6648  0.1659  0.1006  1 Nb 1.94, 1 Mn 1.99, 1 Cr 2.03
O  0.5250  0.9591  0.3323  1 Mn 1.90, 1 Cr 1.94
Mn  0.6620  0.1677  0.7148  6 O 1.89-2.00
Mn  0.1677  0.6620  0.7148  6 O 1.89-2.00
O  0.9591  0.5250  0.3323  1 Mn 1.90, 1 Cr 1.94
O  0.9999  0.9999  0.3019  2 Cr 1.89, 1 Mn 1.92
O  0.1659  0.6648  0.1006  1 Nb 1.94, 1 Mn 1.99, 1 Cr 2.03
O  0.5212  0.5212  0.3381  2 Cr 1.92, 1 Nb 2.10
O  0.9962  0.9962  0.8102  2 Mn 1.92, 1 Cr 1.95

***

Entry from Materials Project: Mn6O5F7 after structural relaxation (PBE+U).

Output
The calculation puts the total magnetization at 25.0 μB/cell. For the raw total energy, the calculation gives -6.6855 eV/atom. As for the volume: 216 Å³ per cell. The value obtained for the corrected total energy (MP2020 scheme) is -0.559 Ry/atom. For the polymorph energy (0 for the lowest one), the calculation gives 2 meV/atom. Its formation enthalpy at 0 K is -2439 meV/atom.

abc: 4.8348 4.8348 9.3196
angles: 90.00 90.00 97.75
Closest atoms and distances in Å follow each position.
Sites, in units of the cell vectors:
Mn  0.4968  0.4968  0.0000  4 O 1.98
F  0.1910  0.8108  0.6657  3 Mn 2.08-2.26
O  0.3197  0.3197  0.5000  3 Mn 1.89-1.97
F  0.8108  0.1910  0.3343  3 Mn 2.08-2.26
F  0.7037  0.7037  0.5000  3 Mn 2.03-2.11
Mn  0.9956  0.9956  0.1656  2 O 1.92-1.93, 4 F 2.06-2.10
O  0.6924  0.6924  0.1648  3 Mn 1.93-1.98
Mn  0.0225  0.0225  0.5000  1 O 1.89, 5 F 2.03-2.08
F  0.1846  0.8098  0.0000  3 Mn 2.06-2.28
F  0.8108  0.1910  0.6657  3 Mn 2.08-2.26
F  0.1910  0.8108  0.3343  3 Mn 2.08-2.26
O  0.2978  0.2978  0.8364  3 Mn 1.92-1.98
O  0.6924  0.6924  0.8352  3 Mn 1.93-1.98
Mn  0.4938  0.4938  0.6754  3 O 1.95-1.97, 1 F 2.11
O  0.2978  0.2978  0.1636  3 Mn 1.92-1.98
Mn  0.9956  0.9956  0.8344  2 O 1.92-1.93, 4 F 2.06-2.10
Mn  0.4938  0.4938  0.3246  3 O 1.95-1.97, 1 F 2.11
F  0.8098  0.1846  0.0000  3 Mn 2.06-2.28

***

Entry from Materials Project: MnCdF5 after structural relaxation (PBE+U).

Output
For the raw total energy, the calculation gives -4.8778 eV/atom. As for the volume: 209 Å³ per cell. The value obtained for the corrected total energy (MP2020 scheme) is -0.400 Ry/atom. Its formation enthalpy at 0 K is -2638 meV/atom.

abc: 5.5660 5.5660 7.9071
angles: 97.66 109.48 109.69
Closest atoms and distances in Å follow each position.
Sites, in units of the cell vectors:
F  0.1283  0.7930  0.8799  1 Mn 1.86
F  0.4131  0.2484  0.6201  1 Mn 1.86
F  0.1537  0.7181  0.4636  1 Mn 1.93
F  0.7545  0.6901  0.0364  1 Mn 1.93
F  0.3560  0.1060  0.2500  2 Mn 2.11, 1 Cd 2.26
F  0.5869  0.7516  0.3799  1 Mn 1.86
Mn  0.5000  0.0000  0.5000  4 F 1.86-1.93
Mn  0.0000  0.0000  0.0000  4 F 1.86-1.93
Cd  0.7084  0.4584  0.2500  5 F 2.22-2.29
Cd  0.2916  0.5416  0.7500  5 F 2.22-2.29
F  0.6440  0.8940  0.7500  2 Mn 2.11, 1 Cd 2.26
F  0.8717  0.2070  0.1201  1 Mn 1.86
F  0.8463  0.2819  0.5364  1 Mn 1.93
F  0.2455  0.3099  0.9636  1 Mn 1.93